<P>
Compound: YCr2O4
Source: Materials Project
Functional: PBE+U
Structure: relaxed

Summary:
Its volume is 181.86 Å³/cell. The spin magnetization comes out at 7.0 μB/f.u.

a = 6.340 Å, b = 6.340 Å, c = 6.340 Å
α = 60.41°, β = 60.41°, γ = 60.41°
Atoms (fractional coordinates):
Cr  0.000  0.000  0.000
Cr  0.500  0.000  0.000
Cr  0.000  0.500  0.000
Cr  0.000  0.000  0.500
O  0.203  0.763  0.763
O  0.237  0.237  0.797
O  0.763  0.763  0.203
O  0.240  0.240  0.240
O  0.797  0.237  0.237
O  0.760  0.760  0.760
O  0.237  0.797  0.237
O  0.763  0.203  0.763
Y  0.622  0.622  0.622
Y  0.378  0.378  0.378



<Q>
Compound: YCr2O4
Source: Materials Project
Functional: PBE+U
Structure: relaxed

Summary:
Its volume is 166.90 Å³/cell. The spin magnetization comes out at 7.0 μB/f.u.

a = 6.451 Å, b = 6.451 Å, c = 6.451 Å
α = 126.72°, β = 126.72°, γ = 78.70°
Atoms (fractional coordinates):
O  0.144  0.304  0.560
O  0.696  0.256  0.840
O  0.744  0.584  0.440
O  0.334  0.394  0.340
O  0.006  0.666  0.060
O  0.606  0.946  0.940
O  0.054  0.994  0.660
O  0.416  0.856  0.160
Cr  0.375  0.125  0.750
Cr  0.875  0.625  0.250
Cr  0.375  0.625  0.750
Cr  0.375  0.625  0.250
Y  0.000  0.000  0.000
Y  0.750  0.250  0.500



Which of them is least stable? Easy: <Q>.



<P>
Compound: ZnCr2O4
Source: Materials Project
Functional: PBE+U
Structure: relaxed

Summary:
Its volume is 141.13 Å³/cell. The spin magnetization comes out at 6.0 μB/f.u.

a = 5.053 Å, b = 5.053 Å, c = 9.941 Å
α = 90.00°, β = 90.00°, γ = 146.22°
Atoms (fractional coordinates):
Cr  0.867  0.133  0.571
Cr  0.133  0.867  0.429
Cr  0.133  0.867  0.071
Cr  0.867  0.133  0.929
O  0.500  0.500  0.000
O  0.963  0.037  0.750
O  0.769  0.231  0.389
O  0.231  0.769  0.889
O  0.769  0.231  0.111
O  0.500  0.500  0.500
O  0.037  0.963  0.250
O  0.231  0.769  0.611
Zn  0.608  0.392  0.750
Zn  0.392  0.608  0.250



<Q>
Compound: ZnCr2O4
Source: Materials Project
Functional: PBE+U
Structure: relaxed

Summary:
Its volume is 462.57 Å³/cell. The spin magnetization comes out at 6.0 μB/f.u.

a = 5.973 Å, b = 5.973 Å, c = 14.882 Å
α = 86.71°, β = 86.71°, γ = 60.83°
Atoms (fractional coordinates):
O  0.508  0.990  0.751
O  0.662  0.662  0.905
O  0.849  0.299  0.082
O  0.494  0.494  0.235
O  0.821  0.349  0.583
O  0.691  0.160  0.921
O  0.347  0.347  0.091
O  0.505  0.505  0.766
O  0.990  0.508  0.751
O  0.845  0.845  0.090
O  0.012  0.484  0.247
O  0.650  0.178  0.417
O  0.171  0.171  0.430
O  0.299  0.849  0.082
O  0.484  0.012  0.247
O  0.317  0.317  0.576
O  0.015  0.015  0.760
O  0.683  0.683  0.423
O  0.349  0.821  0.583
O  0.160  0.691  0.921
O  0.158  0.158  0.909
O  0.178  0.650  0.417
O  0.829  0.829  0.570
O  0.978  0.978  0.243
Zn  0.836  0.836  0.833
Zn  0.501  0.501  0.499
Zn  0.667  0.667  0.668
Zn  0.163  0.163  0.166
Zn  0.333  0.333  0.332
Zn  0.664  0.664  0.041
Cr  0.337  0.337  0.961
Cr  0.835  0.337  0.835
Cr  0.000  0.500  0.500
Cr  0.500  0.000  0.500
Cr  0.337  0.337  0.707
Cr  0.000  0.000  0.374
Cr  0.337  0.835  0.835
Cr  0.999  0.999  0.626
Cr  0.665  0.665  0.290
Cr  0.665  0.164  0.165
Cr  0.164  0.665  0.165
Cr  0.001  0.001  0.002



<R>
Compound: ZnCr2O4
Source: Materials Project
Functional: PBE+U
Structure: relaxed

Summary:
Its volume is 459.01 Å³/cell. The spin magnetization comes out at 6.0 μB/f.u.

a = 5.997 Å, b = 5.997 Å, c = 14.739 Å
α = 90.00°, β = 90.00°, γ = 120.00°
Atoms (fractional coordinates):
O  0.516  0.484  0.753
O  0.636  0.818  0.420
O  0.968  0.484  0.753
O  0.182  0.818  0.420
O  0.516  0.032  0.753
O  0.840  0.680  0.092
O  0.364  0.182  0.579
O  0.155  0.310  0.909
O  0.667  0.333  0.428
O  0.000  0.000  0.761
O  0.667  0.333  0.907
O  0.031  0.516  0.247
O  0.000  0.000  0.238
O  0.484  0.969  0.247
O  0.818  0.182  0.579
O  0.333  0.667  0.095
O  0.818  0.636  0.579
O  0.320  0.160  0.092
O  0.155  0.845  0.909
O  0.182  0.364  0.420
O  0.840  0.160  0.092
O  0.484  0.516  0.247
O  0.690  0.845  0.909
O  0.333  0.667  0.572
Cr  0.834  0.668  0.833
Cr  0.332  0.166  0.833
Cr  0.333  0.667  0.334
Cr  0.168  0.335  0.168
Cr  0.500  0.000  0.500
Cr  0.834  0.166  0.833
Cr  0.168  0.832  0.168
Cr  0.667  0.333  0.667
Cr  0.665  0.832  0.168
Cr  0.000  0.500  0.500
Cr  0.500  0.500  0.500
Cr  0.667  0.333  0.044
Zn  0.000  0.000  0.375
Zn  0.000  0.000  0.625
Zn  0.333  0.667  0.953
Zn  0.333  0.667  0.710
Zn  0.000  0.000  0.997
Zn  0.667  0.333  0.293



<S>
Compound: ZnCr2O4
Source: Materials Project
Functional: PBE+U
Structure: relaxed

Summary:
Its volume is 311.35 Å³/cell. The spin magnetization comes out at 6.0 μB/f.u.

a = 5.114 Å, b = 5.929 Å, c = 10.268 Å
α = 90.00°, β = 90.00°, γ = 90.00°
Atoms (fractional coordinates):
Zn  0.042  0.000  0.000
Zn  0.365  0.000  0.500
Zn  0.635  0.500  0.000
Zn  0.958  0.500  0.500
O  0.690  0.500  0.348
O  0.834  0.248  0.141
O  0.356  0.500  0.144
O  0.644  0.000  0.356
O  0.356  0.500  0.856
O  0.166  0.748  0.359
O  0.310  0.000  0.848
O  0.166  0.252  0.359
O  0.834  0.248  0.859
O  0.834  0.752  0.859
O  0.834  0.752  0.141
O  0.310  0.000  0.152
O  0.166  0.252  0.641
O  0.166  0.748  0.641
O  0.644  0.000  0.644
O  0.690  0.500  0.652
Cr  0.500  0.250  0.750
Cr  0.010  0.500  0.237
Cr  0.500  0.750  0.250
Cr  0.010  0.500  0.763
Cr  0.500  0.250  0.250
Cr  0.990  0.000  0.263
Cr  0.990  0.000  0.737
Cr  0.500  0.750  0.750



Which of them is least stable? Easy: <Q>.